(1)
Material: Li3VSiBO7
Method: DFT, GGA+U
State: optimized geometry Values from VASP.

Computed properties:
ΔH_f (0 K), kJ/mol of formula units: -3370.3
Total energy, eV/f.u.: -89.973

Cell and atoms, written as Quantum ESPRESSO input:
```
&SYSTEM
  ibrav = 0, nat = 52, ntyp = 5
/
ATOMIC_SPECIES
V 50.94 V.upf
Si 28.09 Si.upf
O 16.00 O.upf
Li 6.94 Li.upf
B 10.81 B.upf
CELL_PARAMETERS angstrom
-3.7116 3.0758 1.7071
-8.9200 -12.3634 6.8604
3.1856 0.7726 5.5339
ATOMIC_POSITIONS crystal
V 0.7952 0.6626 0.7500
V 0.7952 0.1624 0.7500
V 0.2045 0.8375 0.2500
V 0.2049 0.3375 0.2500
Si 0.7307 0.2134 0.2500
Si 0.2696 0.2865 0.7500
Si 0.2692 0.7865 0.7500
Si 0.7305 0.7135 0.2500
O 0.1319 0.2006 0.7500
O 0.8227 0.6547 0.4449
O 0.4670 0.9129 0.2500
O 0.4149 0.7388 0.2500
O 0.6436 0.4439 0.7500
O 0.0235 0.4572 0.2500
O 0.8683 0.2993 0.2501
O 0.3566 0.5562 0.2500
O 0.1775 0.3453 0.9448
O 0.1320 0.7006 0.7500
O 0.1771 0.8453 0.5551
O 0.5327 0.5871 0.7500
O 0.8226 0.6547 0.0551
O 0.4151 0.2389 0.2499
O 0.9767 0.5428 0.7500
O 0.5852 0.2612 0.7500
O 0.0230 0.9572 0.2500
O 0.6435 0.9439 0.7500
O 0.4675 0.4130 0.2500
O 0.3562 0.0561 0.2500
O 0.5850 0.7612 0.7500
O 0.8228 0.1547 0.4449
O 0.8678 0.7994 0.2500
O 0.1776 0.3453 0.5551
O 0.5327 0.0870 0.7500
O 0.1771 0.8453 0.9449
O 0.8229 0.1547 0.0552
O 0.9768 0.0428 0.7500
Li 0.2428 0.9466 0.7500
Li 0.7626 0.3841 0.0055
Li 0.7623 0.8840 0.4947
Li 0.7574 0.5534 0.2500
Li 0.2374 0.1159 0.5055
Li 0.7623 0.8840 0.0053
Li 0.7568 0.0533 0.2500
Li 0.2428 0.4466 0.7500
Li 0.2379 0.6159 0.5055
Li 0.2374 0.1159 0.9946
Li 0.2379 0.6159 0.9945
Li 0.7626 0.3841 0.4945
B 0.2785 0.9809 0.2500
B 0.7212 0.5191 0.7500
B 0.7213 0.0191 0.7500
B 0.2790 0.4809 0.2500
```

---

(2)
Material: MgW2O4
Method: DFT, GGA+U
State: optimized geometry Values from VASP.

Computed properties:
ΔH_f (0 K), kJ/mol of formula units: -1147.2
Distance to the lowest polymorph of the same formula, meV/atom: 213
Total energy, eV/f.u.: -47.574
Space group: R3m

Cell and atoms, written as Quantum ESPRESSO input:
```
&SYSTEM
  ibrav = 0, nat = 14, ntyp = 3
/
ATOMIC_SPECIES
W 183.84 W.upf
O 16.00 O.upf
Mg 24.30 Mg.upf
CELL_PARAMETERS angstrom
-4.5194 -0.2544 4.6431
-5.6265 -3.1835 -0.5053
-1.5331 -5.3289 3.3615
ATOMIC_POSITIONS crystal
W 0.2654 0.2654 0.2654
W 0.6455 0.6455 0.0842
W 0.6455 0.0842 0.6455
W 0.0842 0.6455 0.6455
O 0.8848 0.8848 0.8848
O 0.8504 0.3749 0.3749
O 0.8571 0.3944 0.8571
O 0.3944 0.8571 0.8571
O 0.3749 0.3749 0.8504
O 0.8571 0.8571 0.3944
O 0.3749 0.8504 0.3749
O 0.3929 0.3929 0.3929
Mg 0.0043 0.0043 0.0043
Mg 0.6187 0.6187 0.6187
```

---

(3)
Material: BaWO3
Method: DFT, GGA+U
State: optimized geometry Values from VASP.

Computed properties:
ΔH_f (0 K), kJ/mol of formula units: -1188.6
Total energy, eV/f.u.: -35.541
Space group: Pm-3m

Cell and atoms, written as Quantum ESPRESSO input:
```
&SYSTEM
  ibrav = 0, nat = 5, ntyp = 3
/
ATOMIC_SPECIES
O 16.00 O.upf
W 183.84 W.upf
Ba 137.33 Ba.upf
CELL_PARAMETERS angstrom
4.1644 0.0000 0.0000
0.0000 4.1644 0.0000
0.0000 0.0000 4.1644
ATOMIC_POSITIONS crystal
O 0.5000 0.5000 0.0000
O 0.5000 0.0000 0.5000
O 0.0000 0.5000 0.5000
W 0.5000 0.5000 0.5000
Ba 0.0000 0.0000 0.0000
```

---

(4)
Material: NaCoO2
Method: DFT, GGA+U
State: optimized geometry Values from VASP.

Computed properties:
ΔH_f (0 K), kJ/mol of formula units: -605.4
Total energy, eV/f.u.: -21.589
Space group: R-3m

Cell and atoms, written as Quantum ESPRESSO input:
```
&SYSTEM
  ibrav = 0, nat = 4, ntyp = 3
/
ATOMIC_SPECIES
Co 58.93 Co.upf
Na 22.99 Na.upf
O 16.00 O.upf
CELL_PARAMETERS angstrom
0.4009 1.4599 -2.4967
0.4009 -1.4599 -2.4967
-4.9162 0.0000 -2.4967
ATOMIC_POSITIONS crystal
Co 0.5000 0.5000 0.5000
Na 0.0000 0.0000 0.0000
O 0.2299 0.2299 0.3102
O 0.7701 0.7701 0.6898
```

---

(5)
Material: Mg2CoSbO6
Method: DFT, GGA+U
State: optimized geometry Values from VASP.

Computed properties:
ΔH_f (0 K), kJ/mol of formula units: -2060.7
Total energy, eV/f.u.: -59.723
Space group: P2_1/m

Cell and atoms, written as Quantum ESPRESSO input:
```
&SYSTEM
  ibrav = 0, nat = 20, ntyp = 4
/
ATOMIC_SPECIES
Co 58.93 Co.upf
O 16.00 O.upf
Mg 24.30 Mg.upf
Sb 121.76 Sb.upf
CELL_PARAMETERS angstrom
7.5472 0.0000 0.0000
0.0000 5.2053 0.0000
0.0000 0.0709 5.3793
ATOMIC_POSITIONS crystal
Co 0.0000 0.5000 0.0000
Co 0.5000 0.5000 0.0000
O 0.4313 0.8290 0.1853
O 0.9313 0.1710 0.8147
O 0.7500 0.6141 0.9306
O 0.0672 0.6798 0.6764
O 0.7500 0.8594 0.4268
O 0.2500 0.3859 0.0694
O 0.9328 0.3202 0.3236
O 0.0687 0.8290 0.1853
O 0.4328 0.6798 0.6764
O 0.5687 0.1710 0.8147
O 0.2500 0.1406 0.5732
O 0.5672 0.3202 0.3236
Mg 0.2500 0.0142 0.9637
Mg 0.2500 0.5214 0.4300
Mg 0.7500 0.4786 0.5700
Mg 0.7500 0.9858 0.0363
Sb 0.5000 0.0000 0.5000
Sb 0.0000 0.0000 0.5000
```

---

(6)
Material: UCr4H48C14N30O22
Method: DFT, GGA+U
State: optimized geometry Values from VASP.

Computed properties:
ΔH_f (0 K), kJ/mol of formula units: -8241.3
Total energy, eV/f.u.: -763.210
Space group: P-1

Cell and atoms, written as Quantum ESPRESSO input:
```
&SYSTEM
  ibrav = 0, nat = 119, ntyp = 6
/
ATOMIC_SPECIES
H 1.01 H.upf
C 12.01 C.upf
O 16.00 O.upf
N 14.01 N.upf
Cr 52.00 Cr.upf
U 238.03 U.upf
CELL_PARAMETERS angstrom
-1.0557 -4.2999 -5.1677
7.9694 -6.1465 4.2323
-11.8057 -6.2446 10.3406
ATOMIC_POSITIONS crystal
H 0.3098 0.4216 0.6761
H 0.5756 0.6662 0.0528
H 0.6900 0.8664 0.3981
H 0.1208 0.2483 0.2811
H 0.6712 0.0663 0.8901
H 0.3570 0.8272 0.7732
H 0.7162 0.0148 0.4462
H 0.8942 0.9448 0.7796
H 0.4997 0.8120 0.2595
H 0.3553 0.7186 0.0814
H 0.1058 0.0552 0.2204
H 0.6430 0.1728 0.2268
H 0.3288 0.9337 0.1099
H 0.5858 0.5453 0.8286
H 0.7226 0.7813 0.2594
H 0.2196 0.4732 0.4459
H 0.8792 0.7517 0.7189
H 0.7608 0.1536 0.5669
H 0.6402 0.4980 0.1720
H 0.6902 0.5784 0.3239
H 0.1436 0.9258 0.2727
H 0.3100 0.1336 0.6019
H 0.6496 0.0548 0.2922
H 0.7804 0.5268 0.5541
H 0.6256 0.3790 0.2761
H 0.5295 0.0355 0.0975
H 0.7248 0.6220 0.4275
H 0.3504 0.9452 0.7078
H 0.8205 0.5510 0.6583
H 0.1707 0.0389 0.9323
H 0.7692 0.3085 0.6052
H 0.3598 0.5020 0.8280
H 0.5003 0.1880 0.7405
H 0.4142 0.4547 0.1714
H 0.2752 0.3780 0.5725
H 0.2774 0.2187 0.7406
H 0.8365 0.8062 0.0363
H 0.3744 0.6210 0.7239
H 0.8564 0.0742 0.7273
H 0.6447 0.2814 0.9186
H 0.4705 0.9645 0.9025
H 0.2308 0.6915 0.3948
H 0.1635 0.1938 0.9637
H 0.8293 0.9611 0.0677
H 0.2392 0.8464 0.4331
H 0.2838 0.9852 0.5538
H 0.4244 0.3338 0.9472
H 0.1795 0.4490 0.3417
C 0.4250 0.1469 0.9242
C 0.7024 0.4361 0.3973
C 0.3262 0.7725 0.6523
C 0.8312 0.9110 0.6568
C 0.6738 0.2275 0.3477
C 0.1984 0.2916 0.4050
C 0.8016 0.7084 0.5950
C 0.5750 0.8531 0.0758
C 0.2699 0.7191 0.5176
C 0.1688 0.0890 0.3432
C 0.2412 0.1242 0.4787
C 0.2976 0.5639 0.6027
C 0.7588 0.8758 0.5213
C 0.7301 0.2809 0.4824
O 0.5493 0.4421 0.1950
O 0.6346 0.8354 0.2859
O 0.8628 0.6488 0.2195
O 0.2001 0.7894 0.2121
O 0.1464 0.5684 0.1238
O 0.1372 0.3512 0.7805
O 0.0331 0.2955 0.1990
O 0.4507 0.5579 0.8050
O 0.7826 0.4158 0.7113
O 0.0106 0.6981 0.9650
O 0.8536 0.4316 0.8762
O 0.9479 0.9145 0.8918
O 0.9669 0.7045 0.8010
O 0.2174 0.5842 0.2887
O 0.0521 0.0855 0.1082
O 0.2448 0.4720 0.9691
O 0.7999 0.2106 0.7879
O 0.2963 0.8164 0.8851
O 0.3654 0.1646 0.7141
O 0.7037 0.1836 0.1149
O 0.7552 0.5280 0.0309
O 0.9894 0.3019 0.0350
N 0.3580 0.8539 0.7160
N 0.7312 0.4033 0.4724
N 0.5026 0.2625 0.9283
N 0.7189 0.9213 0.4504
N 0.2411 0.1246 0.9415
N 0.4974 0.7375 0.0717
N 0.6690 0.3496 0.3337
N 0.8099 0.5888 0.6037
N 0.7061 0.1907 0.4216
N 0.5296 0.0526 0.9019
N 0.7589 0.8754 0.0585
N 0.2811 0.0787 0.5496
N 0.2434 0.7546 0.4430
N 0.2952 0.4460 0.6185
N 0.3310 0.6504 0.6663
N 0.7906 0.9585 0.5865
N 0.1901 0.4112 0.3963
N 0.2939 0.8093 0.5784
N 0.7566 0.2454 0.5570
N 0.4704 0.9474 0.0981
N 0.8340 0.7864 0.6628
N 0.1277 0.0187 0.2751
N 0.7048 0.5540 0.3815
N 0.7639 0.7512 0.5227
N 0.2361 0.2488 0.4773
N 0.8723 0.9813 0.7249
N 0.2688 0.5967 0.5276
N 0.1660 0.2136 0.3372
N 0.6420 0.1461 0.2840
N 0.2094 0.0415 0.4135
Cr 0.9431 0.2170 0.1143
Cr 0.0569 0.7830 0.8857
Cr 0.8976 0.3527 0.7885
Cr 0.1024 0.6473 0.2115
U 0.0000 0.5000 0.0000
```